Below is a geometry-optimized MgV4Co2O12 structure, with properties calculated at the PBE with a Hubbard U level.

Values from the calculation:
**Energy of formation from the pure elements**: -2.18 eV per atom

Cell and atoms, written as POSCAR:
```
MgV4Co2O12
1.0
5.281 -4.437 0.000
5.281 4.437 0.000
-2.144 0.000 5.346
Mg V Co O
1 4 2 12
direct
0.000 0.000 0.000
0.082 0.338 0.492
0.461 0.112 0.999
0.662 0.918 0.508
0.888 0.539 0.001
0.200 0.800 0.500
0.359 0.641 0.000
0.072 0.726 0.096
0.197 0.093 0.472
0.248 0.524 0.600
0.274 0.928 0.904
0.369 0.358 0.027
0.476 0.752 0.400
0.618 0.086 0.319
0.642 0.631 0.973
0.685 0.037 0.839
0.907 0.803 0.528
0.914 0.382 0.681
0.963 0.315 0.161
```

Below is a geometry-optimized KCrCdC6N6O structure, with properties calculated at the PBE with a Hubbard U level.

Values from the calculation:
**Energy of formation from the pure elements**: 0.35 eV per atom

Cell and atoms, written as POSCAR:
```
KCrCdC6N6O
1.0
0.000 5.592 5.592
5.592 0.000 5.592
5.592 5.592 0.000
K Cr Cd C N O
1 1 1 6 6 1
direct
0.000 0.000 0.000
0.750 0.750 0.750
0.250 0.250 0.250
0.563 0.563 0.937
0.563 0.937 0.563
0.563 0.937 0.937
0.937 0.563 0.563
0.937 0.563 0.937
0.937 0.937 0.563
0.041 0.041 0.459
0.041 0.459 0.041
0.041 0.459 0.459
0.459 0.041 0.041
0.459 0.041 0.459
0.459 0.459 0.041
0.500 0.500 0.500
```

Below is a geometry-optimized BaCaW4O8 structure, with properties calculated at the PBE with a Hubbard U level.

Values from the calculation:
**Energy of formation from the pure elements**: -1.60 eV per atom

Cell and atoms, written as POSCAR:
```
BaCaW4O8
1.0
5.869 0.000 0.000
-2.935 5.083 0.000
0.000 0.000 7.520
Ba Ca W O
1 1 4 8
direct
0.000 0.000 0.000
0.000 0.000 0.500
0.333 0.667 0.274
0.333 0.667 0.726
0.667 0.333 0.274
0.667 0.333 0.726
0.000 0.303 0.295
0.000 0.697 0.705
0.303 0.000 0.295
0.303 0.303 0.705
0.333 0.667 0.000
0.667 0.333 0.000
0.697 0.000 0.705
0.697 0.697 0.295
```

Below is a geometry-optimized K3Mo14O22 structure, with properties calculated at the PBE with a Hubbard U level.

Values from the calculation:
**Energy of formation from the pure elements**: -1.45 eV per atom

Cell and atoms, written as POSCAR:
```
K3Mo14O22
1.0
11.582 0.000 0.000
0.000 9.913 0.000
-2.440 0.000 10.289
K Mo O
6 28 44
direct
0.000 0.000 0.000
0.000 0.500 0.500
0.329 0.027 0.053
0.329 0.473 0.553
0.671 0.527 0.447
0.671 0.973 0.947
0.000 0.140 0.334
0.000 0.360 0.834
0.000 0.640 0.166
0.000 0.860 0.666
0.139 0.636 0.936
0.139 0.864 0.436
0.146 0.132 0.637
0.146 0.368 0.137
0.286 0.131 0.401
0.286 0.369 0.901
0.289 0.643 0.240
0.289 0.857 0.740
0.426 0.642 0.020
0.426 0.858 0.520
0.432 0.129 0.715
0.432 0.371 0.215
0.568 0.629 0.785
0.568 0.871 0.285
0.574 0.142 0.480
0.574 0.358 0.980
0.711 0.143 0.260
0.711 0.357 0.760
0.714 0.631 0.099
0.714 0.869 0.599
0.854 0.632 0.863
0.854 0.868 0.363
0.861 0.136 0.564
0.861 0.364 0.064
0.004 0.239 0.673
0.004 0.261 0.173
0.140 0.017 0.298
0.140 0.483 0.798
0.143 0.742 0.109
0.143 0.758 0.609
0.147 0.524 0.275
0.147 0.976 0.775
0.149 0.237 0.462
0.149 0.263 0.962
0.292 0.733 0.902
0.292 0.767 0.402
0.296 0.241 0.743
0.296 0.259 0.243
0.429 0.515 0.335
0.429 0.985 0.835
0.430 0.747 0.677
0.430 0.753 0.177
0.431 0.224 0.538
0.431 0.276 0.038
0.442 0.002 0.375
0.442 0.498 0.875
0.558 0.502 0.125
0.558 0.998 0.625
0.569 0.724 0.962
0.569 0.776 0.462
0.570 0.247 0.823
0.570 0.253 0.323
0.571 0.015 0.165
0.571 0.485 0.665
0.704 0.741 0.757
0.704 0.759 0.257
0.708 0.233 0.598
0.708 0.267 0.098
0.851 0.737 0.038
0.851 0.763 0.538
0.853 0.024 0.225
0.853 0.476 0.725
0.857 0.242 0.391
0.857 0.258 0.891
0.860 0.517 0.202
0.860 0.983 0.702
0.996 0.739 0.827
0.996 0.761 0.327
```